Entry 1
An optimized crystal structure of Li7Co5O12, computed with PBE with a Hubbard U.

- Total magnetic moment: 2.00 μB/f.u.

The structure in CIF format:
```
data_Li7Co5O12
_symmetry_space_group_name_H-M 'C 1 2/m 1'
_symmetry_Int_Tables_number 12
_symmetry_space_group_name_Hall '-C 2y'
_cell_length_a 14.811
_cell_length_b 2.876
_cell_length_c 11.702
_cell_angle_alpha 90.00
_cell_angle_beta 124.85
_cell_angle_gamma 90.00
loop_
_atom_site_label
_atom_site_fract_x
_atom_site_fract_y
_atom_site_fract_z
_atom_site_occupancy
Li1 0.000 0.000 0.000 1
Li2 0.001 0.000 0.754 1
Li3 0.160 0.500 0.242 1
Li4 0.166 0.500 0.749 1
Co1 0.000 0.000 0.500 1
Co2 0.163 0.500 0.999 1
Co3 0.167 0.500 0.501 1
O1 0.003 0.500 0.390 1
O2 0.016 0.500 0.885 1
O3 0.159 0.000 0.616 1
O4 0.169 0.000 0.110 1
O5 0.169 0.000 0.379 1
O6 0.176 0.000 0.897 1
```

***

Entry 2
An optimized crystal structure of Li7Co5O12, computed with PBE with a Hubbard U.

- Total magnetic moment: 2.00 μB/f.u.

The structure in CIF format:
```
data_Li7Co5O12
_symmetry_space_group_name_H-M 'P -1'
_symmetry_Int_Tables_number 2
_symmetry_space_group_name_Hall '-P 1'
_cell_length_a 5.786
_cell_length_b 5.873
_cell_length_c 7.721
_cell_angle_alpha 67.95
_cell_angle_beta 79.49
_cell_angle_gamma 60.50
loop_
_atom_site_label
_atom_site_fract_x
_atom_site_fract_y
_atom_site_fract_z
_atom_site_occupancy
Li1 0.000 0.000 0.000 1
Li2 0.000 0.500 0.000 1
Li3 0.164 0.338 0.670 1
Li4 0.335 0.666 0.331 1
Li5 0.500 0.000 0.000 1
Co1 0.165 0.829 0.672 1
Co2 0.326 0.176 0.325 1
Co3 0.500 0.500 0.000 1
O1 0.007 0.239 0.498 1
O2 0.163 0.086 0.186 1
O3 0.201 0.563 0.157 1
O4 0.340 0.440 0.841 1
O5 0.347 0.885 0.844 1
O6 0.492 0.768 0.510 1
```

***

Stability comparison, relative energies in meV/atom: entry 1 0; entry 2 14

***

Entry 1
An optimized crystal structure of Li7Co5O12, computed with PBE with a Hubbard U.

- Total magnetic moment: 2.00 μB/f.u.

The structure in CIF format:
```
data_Li7Co5O12
_symmetry_space_group_name_H-M 'C 1 2/m 1'
_symmetry_Int_Tables_number 12
_symmetry_space_group_name_Hall '-C 2y'
_cell_length_a 29.158
_cell_length_b 2.931
_cell_length_c 5.064
_cell_angle_alpha 90.00
_cell_angle_beta 99.46
_cell_angle_gamma 90.00
loop_
_atom_site_label
_atom_site_fract_x
_atom_site_fract_y
_atom_site_fract_z
_atom_site_occupancy
Li1 0.000 0.000 0.000 1
Li2 0.082 0.000 0.414 1
Li3 0.082 0.500 0.923 1
Li4 0.250 0.000 0.252 1
Co1 0.000 0.500 0.500 1
Co2 0.166 0.000 0.833 1
Co3 0.166 0.500 0.334 1
O1 0.036 0.000 0.683 1
O2 0.037 0.500 0.248 1
O3 0.127 0.000 0.130 1
O4 0.129 0.500 0.634 1
O5 0.205 0.000 0.535 1
O6 0.205 0.500 0.036 1
```

***

Entry 2
An optimized crystal structure of Li7Co5O12, computed with PBE with a Hubbard U.

- Total magnetic moment: 2.00 μB/f.u.

The structure in CIF format:
```
data_Li7Co5O12
_symmetry_space_group_name_H-M 'C 1 2 1'
_symmetry_Int_Tables_number 5
_symmetry_space_group_name_Hall 'C 2y'
_cell_length_a 12.548
_cell_length_b 8.657
_cell_length_c 9.653
_cell_angle_alpha 90.00
_cell_angle_beta 129.19
_cell_angle_gamma 90.00
loop_
_atom_site_label
_atom_site_fract_x
_atom_site_fract_y
_atom_site_fract_z
_atom_site_occupancy
Li1 0.000 0.000 0.000 1
Li2 0.000 0.499 0.500 1
Li3 0.124 0.503 0.869 1
Li4 0.126 0.002 0.372 1
Li5 0.126 0.169 0.879 1
Li6 0.127 0.340 0.382 1
Li7 0.127 0.663 0.379 1
Li8 0.128 0.839 0.884 1
Co1 0.000 0.174 0.500 1
Co2 0.000 0.338 0.000 1
Co3 0.000 0.677 0.000 1
Co4 0.000 0.832 0.500 1
Co5 0.248 0.164 0.251 1
Co6 0.249 0.336 0.748 1
Co7 0.249 0.506 0.248 1
O1 0.065 0.010 0.675 1
O2 0.066 0.513 0.174 1
O3 0.067 0.320 0.677 1
O4 0.067 0.822 0.179 1
O5 0.076 0.180 0.187 1
O6 0.079 0.680 0.693 1
O7 0.180 0.349 0.066 1
O8 0.184 0.169 0.577 1
O9 0.185 0.672 0.077 1
O10 0.192 0.841 0.581 1
O11 0.193 0.495 0.575 1
O12 0.196 0.999 0.085 1
```

***

Stability comparison, relative energies in meV/atom: entry 1 48; entry 2 0

***

Entry 1
An optimized crystal structure of Li7Co5O12, computed with PBE with a Hubbard U.

The structure in CIF format:
```
data_Li7Co5O12
_symmetry_space_group_name_H-M 'C 1 2/m 1'
_symmetry_Int_Tables_number 12
_symmetry_space_group_name_Hall '-C 2y'
_cell_length_a 9.563
_cell_length_b 8.531
_cell_length_c 4.907
_cell_angle_alpha 90.00
_cell_angle_beta 99.88
_cell_angle_gamma 90.00
loop_
_atom_site_label
_atom_site_fract_x
_atom_site_fract_y
_atom_site_fract_z
_atom_site_occupancy
Li1 0.000 0.000 0.000 1
Li2 0.245 0.000 0.760 1
Li3 0.248 0.165 0.243 1
Co1 0.000 0.165 0.500 1
Co2 0.000 0.333 0.000 1
Co3 0.000 0.500 0.500 1
O1 0.108 0.333 0.371 1
O2 0.110 0.500 0.869 1
O3 0.112 0.175 0.857 1
O4 0.113 0.000 0.396 1
```

***

Entry 2
An optimized crystal structure of Li7Co5O12, computed with PBE with a Hubbard U.

- Total magnetic moment: 6.00 μB/f.u.

The structure in CIF format:
```
data_Li7Co5O12
_symmetry_space_group_name_H-M 'C 1 2/m 1'
_symmetry_Int_Tables_number 12
_symmetry_space_group_name_Hall '-C 2y'
_cell_length_a 9.908
_cell_length_b 2.998
_cell_length_c 14.845
_cell_angle_alpha 90.00
_cell_angle_beta 102.54
_cell_angle_gamma 90.00
loop_
_atom_site_label
_atom_site_fract_x
_atom_site_fract_y
_atom_site_fract_z
_atom_site_occupancy
Li1 0.000 0.000 0.000 1
Li2 0.248 0.000 0.249 1
Li3 0.248 0.500 0.082 1
Li4 0.250 0.000 0.583 1
Co1 0.000 0.000 0.332 1
Co2 0.000 0.500 0.500 1
Co3 0.001 0.500 0.160 1
O1 0.111 0.500 0.284 1
O2 0.113 0.000 0.789 1
O3 0.114 0.000 0.128 1
O4 0.116 0.000 0.454 1
O5 0.117 0.500 0.622 1
O6 0.117 0.500 0.946 1
```

***

Entry 3
An optimized crystal structure of Li7Co5O12, computed with PBE with a Hubbard U.

- Total magnetic moment: 2.00 μB/f.u.

The structure in CIF format:
```
data_Li7Co5O12
_symmetry_space_group_name_H-M 'P 1 2/m 1'
_symmetry_Int_Tables_number 10
_symmetry_space_group_name_Hall '-P 2y'
_cell_length_a 8.189
_cell_length_b 2.890
_cell_length_c 9.735
_cell_angle_alpha 90.00
_cell_angle_beta 114.71
_cell_angle_gamma 90.00
loop_
_atom_site_label
_atom_site_fract_x
_atom_site_fract_y
_atom_site_fract_z
_atom_site_occupancy
Li1 0.000 0.000 0.000 1
Li2 0.000 0.500 0.500 1
Li3 0.163 0.000 0.328 1
Li4 0.321 0.500 0.164 1
Li5 0.500 0.000 0.000 1
Co1 0.159 0.500 0.837 1
Co2 0.336 0.000 0.671 1
Co3 0.500 0.500 0.500 1
O1 0.062 0.500 0.169 1
O2 0.098 0.000 0.688 1
O3 0.239 0.000 0.977 1
O4 0.261 0.500 0.510 1
O5 0.397 0.500 0.826 1
O6 0.425 0.000 0.338 1
```

***

Stability comparison, relative energies in meV/atom: entry 1 0; entry 2 74; entry 3 28

***

Entry 1
An optimized crystal structure of Li7Co5O12, computed with PBE with a Hubbard U.

- Total magnetic moment: 6.00 μB/f.u.

The structure in CIF format:
```
data_Li7Co5O12
_symmetry_space_group_name_H-M 'C 1 2 1'
_symmetry_Int_Tables_number 5
_symmetry_space_group_name_Hall 'C 2y'
_cell_length_a 5.062
_cell_length_b 8.498
_cell_length_c 9.378
_cell_angle_alpha 90.00
_cell_angle_beta 99.14
_cell_angle_gamma 90.00
loop_
_atom_site_label
_atom_site_fract_x
_atom_site_fract_y
_atom_site_fract_z
_atom_site_occupancy
Li1 0.000 0.000 0.000 1
Li2 0.000 0.179 0.500 1
Li3 0.000 0.667 0.000 1
Li4 0.241 0.838 0.245 1
Li5 0.245 0.506 0.245 1
Co1 0.000 0.339 0.000 1
Co2 0.000 0.507 0.500 1
Co3 0.000 0.846 0.500 1
Co4 0.249 0.160 0.238 1
O1 0.083 0.679 0.376 1
O2 0.091 0.179 0.869 1
O3 0.126 0.501 0.877 1
O4 0.150 0.011 0.381 1
O5 0.152 0.349 0.389 1
O6 0.158 0.825 0.876 1
```

***

Entry 2
An optimized crystal structure of Li7Co5O12, computed with PBE with a Hubbard U.

- Total magnetic moment: 2.00 μB/f.u.

The structure in CIF format:
```
data_Li7Co5O12
_symmetry_space_group_name_H-M 'C 1 2/m 1'
_symmetry_Int_Tables_number 12
_symmetry_space_group_name_Hall '-C 2y'
_cell_length_a 14.885
_cell_length_b 2.897
_cell_length_c 9.819
_cell_angle_alpha 90.00
_cell_angle_beta 101.21
_cell_angle_gamma 90.00
loop_
_atom_site_label
_atom_site_fract_x
_atom_site_fract_y
_atom_site_fract_z
_atom_site_occupancy
Li1 0.000 0.000 0.000 1
Li2 0.079 0.500 0.240 1
Li3 0.082 0.000 0.753 1
Li4 0.250 0.000 0.250 1
Co1 0.000 0.500 0.500 1
Co2 0.163 0.500 0.996 1
Co3 0.166 0.000 0.498 1
O1 0.044 0.000 0.381 1
O2 0.053 0.500 0.883 1
O3 0.120 0.500 0.612 1
O4 0.134 0.000 0.107 1
O5 0.209 0.000 0.895 1
O6 0.213 0.500 0.380 1
```

***

Stability comparison, relative energies in meV/atom: entry 1 28; entry 2 0